Here is a geometry-optimized Li2FeP2O7 structure from the Materials Project. Energies are from PBE with a Hubbard U.

The value obtained for the energy relative to the elements is -247 kJ/mol of atoms. The excess energy over the best structure of this formula in the dataset is 15 meV per atom. The value obtained for the raw total energy is -325.42 eV/cell.

It has space group P2_1/c (No. 14), with a = 5.1144 Å, b = 13.6156 Å, c = 9.3367 Å, α = 90.00°, β = 120.78° and γ = 90.00°. The inequivalent atoms are Li at (0.0299, 0.1031, 0.3647), Li at (0.4183, 0.1943, 0.1664), Fe at (0.0281, 0.1611, 0.7382), P at (0.2722, 0.6779, 0.5333), P at (0.4746, 0.5294, 0.7768), O at (0.0021, 0.6906, 0.3541), O at (0.2191, 0.7317, 0.6606), O at (0.2198, 0.5358, 0.8200), O at (0.2686, 0.1052, 0.6241), O at (0.3013, 0.5625, 0.5782), O at (0.4076, 0.5726, 0.2189) and O at (0.4233, 0.2059, 0.9534).